Run P
This record from Materials Project describes Li3Fe4B4O12 after structural relaxation. The functional is PBE+U.

Geometry as CIF:
```
data_Li3Fe4B4O12
_chemical_formula_sum 'Li6 Fe8 B8 O24'
_cell_length_a 5.253
_cell_length_b 9.063
_cell_length_c 11.394
_cell_angle_alpha 90.00
_cell_angle_beta 116.21
_cell_angle_gamma 90.00
_space_group_name_H-M_alt 'P 1 c 1'
_space_group_IT_number 7
loop_
_space_group_symop_operation_xyz
'x,y,z'
'x,-y,z+1/2'
loop_
_atom_site_label
_atom_site_type_symbol
_atom_site_fract_x
_atom_site_fract_y
_atom_site_fract_z
Li1 Li 0.000 0.233 0.000
Li2 Li 0.507 0.255 0.502
Li3 Li 0.946 0.242 0.260
Fe1 Fe 0.049 0.093 0.540
Fe2 Fe 0.478 0.073 0.287
Fe3 Fe 0.533 0.405 0.032
Fe4 Fe 0.965 0.412 0.783
B1 B 0.042 0.421 0.534
B2 B 0.462 0.417 0.289
B3 B 0.548 0.081 0.040
B4 B 0.978 0.081 0.789
O1 O 0.103 0.442 0.992
O2 O 0.170 0.077 0.740
O3 O 0.174 0.297 0.525
O4 O 0.316 0.089 0.067
O5 O 0.351 0.284 0.299
O6 O 0.358 0.454 0.821
O7 O 0.623 0.050 0.501
O8 O 0.684 0.428 0.252
O9 O 0.713 0.208 0.058
O10 O 0.832 0.417 0.581
O11 O 0.872 0.217 0.807
O12 O 0.886 0.048 0.324
```

Run Q
This record from Materials Project describes Li3Fe4B4O12 after structural relaxation. The functional is PBE+U.

Geometry as CIF:
```
data_Li3Fe4B4O12
_chemical_formula_sum 'Li6 Fe8 B8 O24'
_cell_length_a 5.224
_cell_length_b 5.248
_cell_length_c 20.416
_cell_angle_alpha 90.63
_cell_angle_beta 90.81
_cell_angle_gamma 119.67
_space_group_name_H-M_alt 'P 1'
_space_group_IT_number 1
loop_
_space_group_symop_operation_xyz
'x,y,z'
loop_
_atom_site_label
_atom_site_type_symbol
_atom_site_fract_x
_atom_site_fract_y
_atom_site_fract_z
Li1 Li 0.000 0.000 0.000
Li2 Li 0.001 0.987 0.246
Li3 Li 0.308 0.326 0.626
Li4 Li 0.333 0.301 0.873
Li5 Li 0.336 0.304 0.371
Li6 Li 0.993 0.996 0.498
Fe1 Fe 0.333 0.651 0.483
Fe2 Fe 0.338 0.656 0.982
Fe3 Fe 0.647 0.325 0.229
Fe4 Fe 0.650 0.970 0.356
Fe5 Fe 0.666 0.970 0.855
Fe6 Fe 0.669 0.323 0.734
Fe7 Fe 0.974 0.657 0.608
Fe8 Fe 0.988 0.646 0.109
B1 B 0.001 0.651 0.855
B2 B 0.325 0.655 0.229
B3 B 0.328 0.657 0.729
B4 B 0.654 0.987 0.606
B5 B 0.659 0.988 0.105
B6 B 0.663 0.317 0.981
B7 B 0.664 0.318 0.480
B8 B 0.998 0.649 0.354
O1 O 0.013 0.916 0.857
O2 O 0.019 0.920 0.347
O3 O 0.057 0.635 0.713
O4 O 0.077 0.682 0.209
O5 O 0.245 0.624 0.873
O6 O 0.246 0.630 0.375
O7 O 0.300 0.383 0.232
O8 O 0.362 0.415 0.721
O9 O 0.385 0.752 0.086
O10 O 0.390 0.302 0.474
O11 O 0.396 0.307 0.972
O12 O 0.399 0.722 0.591
O13 O 0.559 0.923 0.751
O14 O 0.587 0.908 0.246
O15 O 0.631 0.229 0.628
O16 O 0.678 0.251 0.124
O17 O 0.687 0.071 0.465
O18 O 0.687 0.071 0.965
O19 O 0.735 0.392 0.339
O20 O 0.736 0.396 0.834
O21 O 0.908 0.962 0.100
O22 O 0.911 0.580 0.501
O23 O 0.913 0.574 0.004
O24 O 0.929 0.013 0.598
```

The most stable of them is run Q.

Run P
This record from Materials Project describes MgFe8O14F2 after structural relaxation. The functional is PBE+U.

Geometry as CIF:
```
data_MgFe8O14F2
_chemical_formula_sum 'Mg1 Fe8 O14 F2'
_cell_length_a 5.132
_cell_length_b 5.153
_cell_length_c 11.660
_cell_angle_alpha 89.38
_cell_angle_beta 89.29
_cell_angle_gamma 76.63
_space_group_name_H-M_alt 'P 1'
_space_group_IT_number 1
loop_
_space_group_symop_operation_xyz
'x,y,z'
loop_
_atom_site_label
_atom_site_type_symbol
_atom_site_fract_x
_atom_site_fract_y
_atom_site_fract_z
Mg1 Mg 0.000 0.000 0.000
Fe1 Fe 0.104 0.098 0.643
Fe2 Fe 0.110 0.100 0.375
Fe3 Fe 0.272 0.290 0.866
Fe4 Fe 0.278 0.282 0.143
Fe5 Fe 0.655 0.660 0.999
Fe6 Fe 0.673 0.732 0.510
Fe7 Fe 0.685 0.685 0.265
Fe8 Fe 0.688 0.697 0.755
O1 O 0.008 0.385 0.008
O2 O 0.342 0.999 0.510
O3 O 0.377 0.995 0.760
O4 O 0.384 0.000 0.255
O5 O 0.384 0.016 0.008
O6 O 0.509 0.515 0.869
O7 O 0.514 0.517 0.133
O8 O 0.532 0.559 0.397
O9 O 0.537 0.566 0.631
O10 O 0.835 0.834 0.886
O11 O 0.852 0.872 0.635
O12 O 0.859 0.875 0.388
O13 O 0.987 0.388 0.753
O14 O 0.998 0.385 0.259
F1 F 0.860 0.857 0.131
F2 F 0.975 0.365 0.509
```

Run Q
This record from Materials Project describes MgFe8O14F2 after structural relaxation. The functional is PBE+U.

Geometry as CIF:
```
data_MgFe8O14F2
_chemical_formula_sum 'Mg1 Fe8 O14 F2'
_cell_length_a 5.631
_cell_length_b 7.405
_cell_length_c 7.556
_cell_angle_alpha 82.63
_cell_angle_beta 69.67
_cell_angle_gamma 70.69
_space_group_name_H-M_alt 'P 1'
_space_group_IT_number 1
loop_
_space_group_symop_operation_xyz
'x,y,z'
loop_
_atom_site_label
_atom_site_type_symbol
_atom_site_fract_x
_atom_site_fract_y
_atom_site_fract_z
Mg1 Mg 0.000 0.000 0.000
Fe1 Fe 0.219 0.630 0.653
Fe2 Fe 0.237 0.159 0.598
Fe3 Fe 0.239 0.606 0.153
Fe4 Fe 0.289 0.126 0.160
Fe5 Fe 0.700 0.890 0.844
Fe6 Fe 0.709 0.405 0.863
Fe7 Fe 0.740 0.368 0.375
Fe8 Fe 0.763 0.878 0.390
O1 O 0.062 0.904 0.738
O2 O 0.094 0.711 0.409
O3 O 0.100 0.385 0.225
O4 O 0.352 0.558 0.882
O5 O 0.371 0.888 0.033
O6 O 0.386 0.373 0.545
O7 O 0.429 0.030 0.359
O8 O 0.579 0.977 0.634
O9 O 0.584 0.461 0.147
O10 O 0.624 0.136 0.964
O11 O 0.856 0.625 0.798
O12 O 0.879 0.303 0.606
O13 O 0.901 0.776 0.146
O14 O 0.923 0.104 0.267
F1 F 0.092 0.231 0.882
F2 F 0.586 0.649 0.476
```

Run R
This record from Materials Project describes MgFe8O14F2 after structural relaxation. The functional is PBE+U.

Geometry as CIF:
```
data_MgFe8O14F2
_chemical_formula_sum 'Mg1 Fe8 O14 F2'
_cell_length_a 4.820
_cell_length_b 4.836
_cell_length_c 11.832
_cell_angle_alpha 90.41
_cell_angle_beta 90.10
_cell_angle_gamma 90.58
_space_group_name_H-M_alt 'P 1'
_space_group_IT_number 1
loop_
_space_group_symop_operation_xyz
'x,y,z'
loop_
_atom_site_label
_atom_site_type_symbol
_atom_site_fract_x
_atom_site_fract_y
_atom_site_fract_z
Mg1 Mg 0.000 0.000 0.000
Fe1 Fe 0.001 0.501 0.995
Fe2 Fe 0.005 0.502 0.242
Fe3 Fe 0.010 0.503 0.500
Fe4 Fe 0.475 0.036 0.371
Fe5 Fe 0.501 0.007 0.870
Fe6 Fe 0.502 0.001 0.128
Fe7 Fe 0.510 0.009 0.613
Fe8 Fe 0.974 0.475 0.743
O1 O 0.155 0.272 0.880
O2 O 0.160 0.284 0.112
O3 O 0.182 0.330 0.370
O4 O 0.191 0.301 0.623
O5 O 0.311 0.822 0.491
O6 O 0.316 0.816 0.246
O7 O 0.338 0.791 0.000
O8 O 0.663 0.211 0.002
O9 O 0.673 0.189 0.745
O10 O 0.678 0.206 0.245
O11 O 0.691 0.206 0.488
O12 O 0.811 0.693 0.620
O13 O 0.840 0.718 0.880
O14 O 0.841 0.721 0.113
F1 F 0.313 0.785 0.747
F2 F 0.808 0.709 0.367
```

Run S
This record from Materials Project describes MgFe8O14F2 after structural relaxation. The functional is PBE+U.

Geometry as CIF:
```
data_MgFe8O14F2
_chemical_formula_sum 'Mg1 Fe8 O14 F2'
_cell_length_a 5.064
_cell_length_b 5.064
_cell_length_c 12.031
_cell_angle_alpha 88.04
_cell_angle_beta 88.14
_cell_angle_gamma 78.01
_space_group_name_H-M_alt 'P 1'
_space_group_IT_number 1
loop_
_space_group_symop_operation_xyz
'x,y,z'
loop_
_atom_site_label
_atom_site_type_symbol
_atom_site_fract_x
_atom_site_fract_y
_atom_site_fract_z
Mg1 Mg 0.000 0.000 0.000
Fe1 Fe 0.159 0.176 0.628
Fe2 Fe 0.238 0.240 0.147
Fe3 Fe 0.289 0.284 0.865
Fe4 Fe 0.352 0.374 0.381
Fe5 Fe 0.653 0.654 0.980
Fe6 Fe 0.733 0.737 0.745
Fe7 Fe 0.791 0.744 0.508
Fe8 Fe 0.809 0.819 0.275
O1 O 0.013 0.403 0.001
O2 O 0.027 0.414 0.751
O3 O 0.086 0.490 0.262
O4 O 0.095 0.443 0.507
O5 O 0.400 0.013 0.002
O6 O 0.412 0.034 0.746
O7 O 0.481 0.094 0.267
O8 O 0.520 0.526 0.854
O9 O 0.610 0.594 0.621
O10 O 0.610 0.608 0.385
O11 O 0.853 0.861 0.877
O12 O 0.926 0.922 0.628
O13 O 0.953 0.930 0.404
O14 O 0.978 0.988 0.159
F1 F 0.464 0.073 0.506
F2 F 0.500 0.501 0.109
```

The most stable of them is run Q.